VASP calculation (PBE-GGA) on a relaxed LiPtN crystal.

Space-group type: Pnma
Crystal system: orthorhombic
Density: 8.93 Mg/m³
E above lowest polymorph: 0.1780 eV/atom
E_form: -37 meV per atom
Uncorrected energy: -5.355 eV per atom

abc: 8.4640 3.3118 5.7356
angles: 90.00 90.00 90.00
With the nearest neighbours (Å) after each atom.
Atoms (fractional coordinates):
Li: 0.1421 0.2500 0.1059  4 N 2.26-2.39
Li: 0.3579 0.7500 0.6059  4 N 2.26-2.39
Li: 0.6421 0.2500 0.3941  4 N 2.26-2.39
Li: 0.8579 0.7500 0.8941  4 N 2.26-2.39
Pt: 0.0833 0.2500 0.6409  2 N 1.93
Pt: 0.4167 0.7500 0.1409  2 N 1.93
Pt: 0.5833 0.2500 0.8591  2 N 1.93
Pt: 0.9167 0.7500 0.3591  2 N 1.93
N: 0.1185 0.7500 0.8063  2 Pt 1.93
N: 0.3815 0.2500 0.3063  2 Pt 1.93
N: 0.6185 0.7500 0.6937  2 Pt 1.93
N: 0.8815 0.2500 0.1937  2 Pt 1.93